## Y6NiI10 (r²SCAN)

Data for a relaxed Y6NiI10 crystal.

a = 7.6547 Å, b = 9.6038 Å, c = 9.6252 Å
α = 107.26°, β = 96.93°, γ = 104.79°
Space group P-1 (No. 2)
Unique sites:
Y 0.0305 0.2181 0.4155 (multiplicity 2)
Y 0.1130 0.5400 0.2620 (multiplicity 2)
Y 0.3426 0.6223 0.6627 (multiplicity 2)
Ni 0.0000 0.5000 0.5000 (multiplicity 1)
I 0.0869 0.8732 0.3171 (multiplicity 2)
I 0.2219 0.2397 0.1503 (multiplicity 2)
I 0.2621 0.5891 0.9649 (multiplicity 2)
I 0.3556 0.9551 0.7741 (multiplicity 2)
I 0.4531 0.3129 0.5940 (multiplicity 2)

Summary:
The calculation puts the calculated total energy at -23.735 eV/atom. The value obtained for the formation energy from the elements is -1414 meV/atom.